# 1
Compound: HfMnGe2
Source: the Materials Project
Functional: r2SCAN
Structure: optimized geometry

a = 9.344 Å, b = 10.255 Å, c = 7.998 Å
α = 90.00°, β = 90.00°, γ = 90.00°
Element x y z (fractional)
1 Hf 0.166 0.181 0.000
2 Hf 0.171 0.453 0.247
3 Hf 0.171 0.453 0.753
4 Hf 0.329 0.953 0.247
5 Hf 0.329 0.953 0.753
6 Hf 0.334 0.681 0.000
7 Hf 0.666 0.319 0.000
8 Hf 0.671 0.047 0.247
9 Hf 0.671 0.047 0.753
10 Hf 0.829 0.547 0.247
11 Hf 0.829 0.547 0.753
12 Hf 0.834 0.819 0.000
13 Mn 0.000 0.000 0.246
14 Mn 0.000 0.000 0.754
15 Mn 0.084 0.752 0.251
16 Mn 0.084 0.752 0.749
17 Mn 0.416 0.252 0.251
18 Mn 0.416 0.252 0.749
19 Mn 0.500 0.500 0.246
20 Mn 0.500 0.500 0.754
21 Mn 0.584 0.748 0.251
22 Mn 0.584 0.748 0.749
23 Mn 0.916 0.248 0.251
24 Mn 0.916 0.248 0.749
25 Ge 0.038 0.616 0.500
26 Ge 0.040 0.617 0.000
27 Ge 0.129 0.907 0.500
28 Ge 0.132 0.900 0.000
29 Ge 0.167 0.182 0.343
30 Ge 0.167 0.182 0.657
31 Ge 0.333 0.682 0.343
32 Ge 0.333 0.682 0.657
33 Ge 0.368 0.400 0.000
34 Ge 0.371 0.407 0.500
35 Ge 0.460 0.117 0.000
36 Ge 0.462 0.116 0.500
37 Ge 0.538 0.884 0.500
38 Ge 0.540 0.883 0.000
39 Ge 0.629 0.593 0.500
40 Ge 0.632 0.600 0.000
41 Ge 0.667 0.318 0.343
42 Ge 0.667 0.318 0.657
43 Ge 0.833 0.818 0.343
44 Ge 0.833 0.818 0.657
45 Ge 0.868 0.100 0.000
46 Ge 0.871 0.093 0.500
47 Ge 0.960 0.383 0.000
48 Ge 0.962 0.384 0.500

Output
Energy of formation from the pure elements in meV per atom: -496
Space group: Pbam
VASP energy in eV for the cell shown: -1074.76


# 2
Compound: Th2Ge
Source: the Materials Project
Functional: r2SCAN
Structure: optimized geometry

a = 6.062 Å, b = 6.062 Å, c = 6.062 Å
α = 104.78°, β = 104.78°, γ = 119.32°
Element x y z (fractional)
1 Th 0.164 0.664 0.828
2 Th 0.336 0.164 0.500
3 Th 0.664 0.836 0.500
4 Th 0.836 0.336 0.172
5 Ge 0.250 0.250 0.000
6 Ge 0.750 0.750 0.000

Output
Energy of formation from the pure elements in meV per atom: -641
Space group: I4/mcm
VASP energy in eV for the cell shown: -325.49


# 3
Compound: Y2AgIr
Source: the Materials Project
Functional: r2SCAN
Structure: optimized geometry

a = 4.957 Å, b = 4.957 Å, c = 4.957 Å
α = 60.00°, β = 60.00°, γ = 60.00°
Element x y z (fractional)
1 Y 0.250 0.250 0.250
2 Y 0.750 0.750 0.750
3 Ag 0.000 0.000 0.000
4 Ir 0.500 0.500 0.500

Output
Energy of formation from the pure elements in meV per atom: -652
Space group: Fm-3m
VASP energy in eV for the cell shown: -116.95


# 4
Compound: Mg2SnS4
Source: the Materials Project
Functional: r2SCAN
Structure: optimized geometry

a = 13.000 Å, b = 7.541 Å, c = 6.242 Å
α = 90.00°, β = 90.00°, γ = 90.00°
Element x y z (fractional)
1 Mg 0.000 0.000 0.000
2 Mg 0.000 0.500 0.000
3 Mg 0.230 0.250 0.495
4 Mg 0.270 0.750 0.995
5 Mg 0.500 0.000 0.500
6 Mg 0.500 0.500 0.500
7 Mg 0.730 0.250 0.005
8 Mg 0.770 0.750 0.505
9 Sn 0.091 0.750 0.423
10 Sn 0.409 0.250 0.923
11 Sn 0.591 0.750 0.077
12 Sn 0.909 0.250 0.577
13 S 0.075 0.250 0.751
14 S 0.092 0.750 0.802
15 S 0.169 0.504 0.240
16 S 0.169 0.996 0.240
17 S 0.331 0.004 0.740
18 S 0.331 0.496 0.740
19 S 0.408 0.250 0.302
20 S 0.425 0.750 0.251
21 S 0.575 0.250 0.749
22 S 0.592 0.750 0.698
23 S 0.669 0.504 0.260
24 S 0.669 0.996 0.260
25 S 0.831 0.004 0.760
26 S 0.831 0.496 0.760
27 S 0.908 0.250 0.198
28 S 0.925 0.750 0.249

Output
Energy of formation from the pure elements in meV per atom: -1143
Space group: Pnma
VASP energy in eV for the cell shown: -292.88


# 5
Compound: PO2
Source: the Materials Project
Functional: r2SCAN
Structure: optimized geometry

a = 6.970 Å, b = 6.970 Å, c = 6.954 Å
α = 95.03°, β = 95.03°, γ = 92.69°
Element x y z (fractional)
1 P 0.143 0.781 0.949
2 P 0.219 0.857 0.551
3 P 0.242 0.472 0.676
4 P 0.472 0.242 0.176
5 P 0.528 0.758 0.824
6 P 0.758 0.528 0.324
7 P 0.781 0.143 0.449
8 P 0.857 0.219 0.051
9 O 0.114 0.886 0.750
10 O 0.129 0.551 0.851
11 O 0.196 0.614 0.515
12 O 0.212 0.269 0.614
13 O 0.269 0.212 0.114
14 O 0.386 0.804 0.985
15 O 0.449 0.871 0.649
16 O 0.464 0.536 0.750
17 O 0.536 0.464 0.250
18 O 0.551 0.129 0.351
19 O 0.614 0.196 0.015
20 O 0.731 0.788 0.886
21 O 0.788 0.731 0.386
22 O 0.804 0.386 0.485
23 O 0.871 0.449 0.149
24 O 0.886 0.114 0.250

Output
Energy of formation from the pure elements in meV per atom: -1936
Space group: C2/c
VASP energy in eV for the cell shown: -214.04


# 6
Compound: La5Pb3O
Source: the Materials Project
Functional: r2SCAN
Structure: optimized geometry

a = 9.604 Å, b = 9.604 Å, c = 9.604 Å
α = 125.29°, β = 125.29°, γ = 81.05°
Element x y z (fractional)
1 La 0.000 0.000 0.000
2 La 0.000 0.500 0.200
3 La 0.000 0.500 0.800
4 La 0.200 0.000 0.500
5 La 0.300 0.800 0.800
6 La 0.500 0.300 0.500
7 La 0.500 0.500 0.000
8 La 0.500 0.700 0.500
9 La 0.700 0.200 0.200
10 La 0.800 0.000 0.500
11 Pb 0.148 0.352 0.500
12 Pb 0.250 0.250 0.000
13 Pb 0.352 0.852 0.205
14 Pb 0.648 0.148 0.795
15 Pb 0.750 0.750 0.000
16 Pb 0.852 0.648 0.500
17 O 0.250 0.750 0.500
18 O 0.750 0.250 0.500

Output
Energy of formation from the pure elements in meV per atom: -1375
Space group: I4/mcm
VASP energy in eV for the cell shown: -671.85


# 7
Compound: Lu2AlSi2
Source: the Materials Project
Functional: r2SCAN
Structure: optimized geometry

a = 5.442 Å, b = 5.442 Å, c = 5.442 Å
α = 136.61°, β = 118.32°, γ = 78.41°
Element x y z (fractional)
1 Lu 0.210 0.210 0.000
2 Lu 0.790 0.790 0.000
3 Al 0.500 0.000 0.500
4 Si 0.211 0.500 0.711
5 Si 0.789 0.500 0.289

Output
Energy of formation from the pure elements in meV per atom: -738
Space group: Immm
VASP energy in eV for the cell shown: -104.13


# 8
Compound: LaRu2
Source: the Materials Project
Functional: r2SCAN
Structure: optimized geometry

a = 5.431 Å, b = 5.431 Å, c = 5.431 Å
α = 60.00°, β = 60.00°, γ = 60.00°
Element x y z (fractional)
1 La 0.125 0.125 0.125
2 La 0.875 0.875 0.875
3 Ru 0.000 0.500 0.500
4 Ru 0.500 0.000 0.500
5 Ru 0.500 0.500 0.000
6 Ru 0.500 0.500 0.500

Output
Energy of formation from the pure elements in meV per atom: -113
Space group: Fd-3m
VASP energy in eV for the cell shown: -161.87


# 9
Compound: Te4Rh3
Source: the Materials Project
Functional: r2SCAN
Structure: optimized geometry

a = 6.805 Å, b = 6.805 Å, c = 6.850 Å
α = 117.64°, β = 117.64°, γ = 34.04°
Element x y z (fractional)
1 Te 0.121 0.121 0.454
2 Te 0.366 0.366 0.019
3 Te 0.634 0.634 0.981
4 Te 0.879 0.879 0.546
5 Rh 0.000 0.000 0.000
6 Rh 0.265 0.265 0.282
7 Rh 0.735 0.735 0.718

Output
Energy of formation from the pure elements in meV per atom: -435
Space group: C2/m
VASP energy in eV for the cell shown: -177.13


# 10
Compound: PaGa3
Source: the Materials Project
Functional: r2SCAN
Structure: optimized geometry

a = 6.283 Å, b = 6.283 Å, c = 4.436 Å
α = 90.00°, β = 90.00°, γ = 120.00°
Element x y z (fractional)
1 Pa 0.333 0.667 0.250
2 Pa 0.667 0.333 0.750
3 Ga 0.147 0.294 0.750
4 Ga 0.147 0.853 0.750
5 Ga 0.294 0.147 0.250
6 Ga 0.706 0.853 0.750
7 Ga 0.853 0.147 0.250
8 Ga 0.853 0.706 0.250

Output
Energy relative to the lowest polymorph listed for this composition in meV/atom: 0.0
Energy of formation from the pure elements in meV per atom: -390
Space group: P6_3/mmc
VASP energy in eV for the cell shown: -225.49


# 11
Compound: Er3Si12Ru4
Source: the Materials Project
Functional: r2SCAN
Structure: optimized geometry

a = 10.053 Å, b = 10.053 Å, c = 8.076 Å
α = 90.00°, β = 90.00°, γ = 47.33°
Element x y z (fractional)
1 Er 0.000 0.000 0.000
2 Er 0.003 0.497 0.250
3 Er 0.497 0.003 0.750
4 Er 0.500 0.500 0.500
5 Er 0.503 0.997 0.250
6 Er 0.997 0.503 0.750
7 Si 0.110 0.655 0.495
8 Si 0.113 0.121 0.727
9 Si 0.121 0.113 0.273
10 Si 0.155 0.610 0.995
11 Si 0.166 0.834 0.666
12 Si 0.206 0.206 0.500
13 Si 0.294 0.294 0.000
14 Si 0.334 0.666 0.166
15 Si 0.345 0.890 0.495
16 Si 0.379 0.387 0.773
17 Si 0.387 0.379 0.227
18 Si 0.390 0.845 0.995
19 Si 0.610 0.155 0.005
20 Si 0.613 0.621 0.773
21 Si 0.621 0.613 0.227
22 Si 0.655 0.110 0.505
23 Si 0.666 0.334 0.834
24 Si 0.706 0.706 0.000
25 Si 0.794 0.794 0.500
26 Si 0.834 0.166 0.334
27 Si 0.845 0.390 0.005
28 Si 0.879 0.887 0.727
29 Si 0.887 0.879 0.273
30 Si 0.890 0.345 0.505
31 Ru 0.127 0.873 0.373
32 Ru 0.169 0.169 0.000
33 Ru 0.331 0.331 0.500
34 Ru 0.373 0.627 0.873
35 Ru 0.627 0.373 0.127
36 Ru 0.669 0.669 0.500
37 Ru 0.831 0.831 0.000
38 Ru 0.873 0.127 0.627

Output
Energy of formation from the pure elements in meV per atom: -656
Space group: Cmce
VASP energy in eV for the cell shown: -642.43


# 12
Compound: Na3InSb2
Source: the Materials Project
Functional: r2SCAN
Structure: optimized geometry

a = 10.334 Å, b = 7.963 Å, c = 16.654 Å
α = 90.00°, β = 92.75°, γ = 90.00°
Element x y z (fractional)
1 Na 0.061 0.009 0.393
2 Na 0.061 0.491 0.893
3 Na 0.117 0.151 0.047
4 Na 0.117 0.349 0.547
5 Na 0.178 0.513 0.362
6 Na 0.178 0.987 0.862
7 Na 0.312 0.028 0.647
8 Na 0.312 0.472 0.147
9 Na 0.371 0.153 0.298
10 Na 0.371 0.347 0.798
11 Na 0.428 0.531 0.608
12 Na 0.428 0.969 0.108
13 Na 0.572 0.031 0.892
14 Na 0.572 0.469 0.392
15 Na 0.629 0.653 0.202
16 Na 0.629 0.847 0.702
17 Na 0.688 0.528 0.853
18 Na 0.688 0.972 0.353
19 Na 0.822 0.013 0.138
20 Na 0.822 0.487 0.638
21 Na 0.883 0.651 0.453
22 Na 0.883 0.849 0.953
23 Na 0.939 0.509 0.107
24 Na 0.939 0.991 0.607
25 In 0.139 0.648 0.708
26 In 0.139 0.852 0.208
27 In 0.374 0.637 0.957
28 In 0.374 0.863 0.457
29 In 0.626 0.137 0.543
30 In 0.626 0.363 0.043
31 In 0.861 0.148 0.792
32 In 0.861 0.352 0.292
33 Sb 0.094 0.219 0.226
34 Sb 0.094 0.281 0.726
35 Sb 0.149 0.738 0.538
36 Sb 0.149 0.762 0.038
37 Sb 0.373 0.228 0.478
38 Sb 0.373 0.272 0.978
39 Sb 0.380 0.742 0.791
40 Sb 0.380 0.758 0.291
41 Sb 0.620 0.242 0.709
42 Sb 0.620 0.258 0.209
43 Sb 0.627 0.728 0.022
44 Sb 0.627 0.772 0.522
45 Sb 0.851 0.238 0.962
46 Sb 0.851 0.262 0.462
47 Sb 0.906 0.719 0.274
48 Sb 0.906 0.781 0.774

Output
Energy of formation from the pure elements in meV per atom: -526
Space group: P2_1/c
VASP energy in eV for the cell shown: -702.70